A plane-wave DFT calculation with PBE was carried out for MgTl6C2O6F2 after structural relaxation.

Cell lengths 6.3262, 7.6817, 8.0099 Å; angles 107.40, 90.03, 91.27 degrees
With the nearest neighbours (Å) after each atom.
Sites, in units of the cell vectors:
Mg (0.0000, 0.0000, 0.0000)  2 F 1.90, 1 O 1.94
Tl (0.0620, 0.6996, 0.6285)  2 O 2.53-2.81
Tl (0.4678, 0.0478, 0.6287)  2 O 2.67-2.79, 1 F 2.82
Tl (0.4727, 0.7794, 0.9287)  2 O 2.68-2.78, 1 F 2.84
Tl (0.4850, 0.4420, 0.1918)  1 O 2.62, 1 F 2.69
Tl (0.9557, 0.3035, 0.3681)  2 O 2.69-2.75
Tl (0.9683, 0.3909, 0.8661)  1 O 2.61, 2 F 2.81-2.91
C (0.4912, 0.4451, 0.5940)  3 O 1.30-1.31
C (0.9883, 0.7327, 0.2291)  3 O 1.28-1.32
O (0.0519, 0.8363, 0.3783)  1 C 1.28
O (0.4505, 0.4115, 0.7411)  1 C 1.30
O (0.4907, 0.6112, 0.5842)  1 C 1.30
O (0.5349, 0.3094, 0.4549)  1 C 1.31
O (0.9401, 0.5594, 0.2007)  1 C 1.31
O (0.9715, 0.7959, 0.0942)  1 C 1.32
F (0.2209, 0.1736, 0.0078)  1 Mg 1.90
F (0.7490, 0.0692, 0.9080)  1 Mg 1.90

## Properties
M_tot: 0.00 μB/cell
MP2020-corrected energy: -5.53 eV/atom
Calculated density: 6.3 Mg/m³
Total energy: -5.2339 eV/atom